(1)
Compound: OsC2
Source: the Materials Project
Functional: GGA-PBE
Structure: optimized geometry

Cell: 2.8776 2.8776 7.9943 Å, 90.00 90.00 120.00°
Closest atoms and distances in Å follow each position.
Element x y z (fractional)
Os1 0.6667 0.3333 0.2500  6 C 2.10
C1 0.0000 0.0000 0.5894  1 C 1.43
Os2 0.3333 0.6667 0.7500  6 C 2.10
C2 0.0000 0.0000 0.4106  1 C 1.43
C3 0.0000 0.0000 0.0894  1 C 1.43
C4 0.0000 0.0000 0.9106  1 C 1.43

Energy above the most stable polymorph in this dataset: 0 meV per atom
Energy of formation from the pure elements: 0.58 eV per atom



(2)
Compound: NaMg14BO15
Source: the Materials Project
Functional: GGA-PBE
Structure: optimized geometry

Cell: 8.4075 8.6157 4.2850 Å, 90.00 90.00 90.00°
Closest atoms and distances in Å follow each position.
Element x y z (fractional)
Mg1 0.2653 0.5000 0.5000  3 O 1.99-2.10
Mg2 0.7421 0.5000 0.5000  6 O 2.02-2.19
Mg3 0.2485 0.0000 0.5000  6 O 2.07-2.21
Mg4 0.7545 0.0000 0.5000  6 O 2.08-2.19
O1 0.0022 0.0000 0.5000  4 Mg 2.07-2.13, 2 Na 2.14
Mg5 0.5017 0.2519 0.5000  6 O 2.10-2.17
Mg6 0.0006 0.2471 0.5000  6 O 2.10-2.18
O2 0.2516 0.7432 0.5000  6 Mg 2.10-2.21
Mg7 0.7481 0.7606 0.0000  6 O 2.06-2.30
O3 0.0000 0.2719 0.0000  5 Mg 1.97-2.17
Mg8 0.0039 0.5000 0.0000  4 O 1.97-2.14
O4 0.9966 0.5000 0.5000  6 Mg 2.14-2.26
O5 0.2642 0.0000 0.0000  5 Mg 2.00-2.15, 1 Na 2.21
Na1 0.0019 0.0000 0.0000  6 O 2.14-2.34
Mg9 0.7481 0.2394 0.0000  6 O 2.06-2.30
O6 0.6879 0.5000 0.0000  1 B 1.43
Mg10 0.5017 0.0000 0.0000  6 O 2.00-2.16
O7 0.2516 0.2568 0.5000  6 Mg 2.10-2.21
O8 0.7510 0.7456 0.5000  6 Mg 2.10-2.19
O9 0.7390 0.0000 0.0000  5 Mg 2.00-2.15, 1 Na 2.21
O10 0.5017 0.7496 0.0000  5 Mg 2.07-2.16, 1 B 2.15
O11 0.0000 0.7281 0.0000  5 Mg 1.97-2.17
Mg11 0.0006 0.7529 0.5000  6 O 2.10-2.18
O12 0.5023 0.5000 0.5000  4 Mg 1.99-2.14, 2 B 2.15
O13 0.5007 0.0000 0.5000  6 Mg 2.12-2.17
B1 0.5181 0.5000 0.0000  1 O 1.43
Mg12 0.5017 0.7481 0.5000  6 O 2.10-2.17
O14 0.7510 0.2544 0.5000  6 Mg 2.10-2.19
O15 0.5017 0.2504 0.0000  5 Mg 2.07-2.16, 1 B 2.15
Mg13 0.2558 0.2409 0.0000  5 O 2.07-2.17
Mg14 0.2558 0.7591 0.0000  5 O 2.07-2.17

Energy above the most stable polymorph in this dataset: 49 meV per atom
Energy of formation from the pure elements: -2.69 eV per atom



The lowest energy above the most stable polymorph in this dataset belongs to which entry? OsC2



What is the formula in the first record? OsC2